(1)
PBE Zr2Nb2Si3S3O24, relaxed; total moment = 0.00 μB/f.u.; space-group type = No. 1
1.0
9.025 0.006 0.002
-4.508 7.788 -0.059
0.005 -0.168 23.155
Zr Nb Si S O
6 6 9 9 72
direct
0.991 0.009 0.357
0.014 0.013 0.854
0.667 0.338 0.691
0.679 0.344 0.187
0.320 0.666 0.024
0.348 0.670 0.527
0.985 0.011 0.644
0.011 0.016 0.138
0.655 0.341 0.976
0.678 0.331 0.483
0.333 0.672 0.311
0.342 0.681 0.805
0.000 0.289 0.250
0.286 0.289 0.749
0.717 0.006 0.752
0.959 0.339 0.586
0.676 0.622 0.585
0.950 0.621 0.083
0.387 0.342 0.084
0.333 0.953 0.917
0.616 0.958 0.418
0.286 0.998 0.250
0.710 0.714 0.250
0.004 0.716 0.750
0.377 0.049 0.583
0.669 0.048 0.083
0.619 0.668 0.916
0.042 0.381 0.916
0.339 0.383 0.416
0.045 0.665 0.416
0.206 0.021 0.302
0.818 0.792 0.302
0.979 0.171 0.305
0.199 0.172 0.806
0.977 0.792 0.803
0.826 0.020 0.808
0.802 0.966 0.693
0.160 0.188 0.693
0.036 0.821 0.699
0.786 0.820 0.199
0.028 0.188 0.194
0.176 0.965 0.198
0.864 0.361 0.640
0.485 0.123 0.634
0.638 0.501 0.639
0.866 0.505 0.139
0.641 0.123 0.136
0.493 0.353 0.141
0.474 0.302 0.026
0.827 0.523 0.026
0.702 0.155 0.032
0.462 0.158 0.530
0.693 0.520 0.526
0.830 0.301 0.526
0.542 0.690 0.969
0.150 0.457 0.969
0.315 0.840 0.973
0.524 0.835 0.471
0.302 0.456 0.467
0.151 0.694 0.467
0.129 0.637 0.363
0.494 0.854 0.360
0.359 0.491 0.364
0.121 0.486 0.866
0.360 0.853 0.860
0.510 0.632 0.864
0.026 0.816 0.405
0.803 0.976 0.406
0.188 0.209 0.406
0.020 0.208 0.910
0.171 0.977 0.908
0.792 0.812 0.909
0.973 0.163 0.591
0.207 0.031 0.590
0.849 0.810 0.594
0.967 0.811 0.098
0.825 0.028 0.092
0.193 0.163 0.093
0.685 0.161 0.740
0.473 0.315 0.740
0.855 0.543 0.744
0.685 0.541 0.244
0.836 0.309 0.241
0.457 0.144 0.242
0.636 0.507 0.924
0.870 0.362 0.927
0.510 0.144 0.929
0.634 0.147 0.427
0.490 0.365 0.423
0.873 0.510 0.422
0.358 0.498 0.071
0.138 0.648 0.075
0.523 0.874 0.075
0.357 0.878 0.573
0.513 0.647 0.573
0.139 0.498 0.569
0.301 0.838 0.259
0.535 0.694 0.260
0.173 0.479 0.264
0.300 0.476 0.765
0.158 0.694 0.759
0.525 0.827 0.760

***

(2)
PBE Sm2Nb2S7O30, relaxed; total moment = 2.00 μB/f.u.; space-group type = No. 113
1.0
0.000 0.000 7.225
12.955 0.000 0.000
0.000 12.955 0.000
Sm Nb S O
4 4 14 60
direct
0.592 0.801 0.301
0.408 0.699 0.801
0.592 0.199 0.699
0.408 0.301 0.199
0.983 0.638 0.138
0.017 0.862 0.638
0.983 0.362 0.862
0.017 0.138 0.362
0.345 0.500 0.000
0.655 0.000 0.500
0.896 0.377 0.123
0.104 0.123 0.623
0.896 0.623 0.877
0.104 0.877 0.377
0.294 0.565 0.324
0.706 0.935 0.824
0.294 0.435 0.676
0.706 0.065 0.176
0.706 0.676 0.565
0.294 0.824 0.065
0.706 0.324 0.435
0.294 0.176 0.935
0.793 0.699 0.199
0.207 0.801 0.699
0.793 0.301 0.801
0.207 0.199 0.301
0.459 0.567 0.933
0.541 0.933 0.433
0.459 0.433 0.067
0.541 0.067 0.567
0.225 0.566 0.066
0.775 0.934 0.566
0.225 0.434 0.934
0.775 0.066 0.434
0.079 0.343 0.157
0.921 0.157 0.657
0.079 0.657 0.843
0.921 0.843 0.343
0.743 0.325 0.175
0.257 0.175 0.675
0.743 0.675 0.825
0.257 0.825 0.325
0.874 0.491 0.141
0.126 0.009 0.641
0.874 0.509 0.859
0.126 0.991 0.359
0.126 0.859 0.491
0.874 0.641 0.991
0.126 0.141 0.509
0.874 0.359 0.009
0.450 0.630 0.291
0.550 0.870 0.791
0.450 0.370 0.709
0.550 0.130 0.209
0.550 0.709 0.630
0.450 0.791 0.130
0.550 0.291 0.370
0.450 0.209 0.870
0.321 0.457 0.292
0.679 0.043 0.792
0.321 0.543 0.708
0.679 0.957 0.208
0.679 0.708 0.457
0.321 0.792 0.957
0.679 0.292 0.543
0.321 0.208 0.043
0.262 0.575 0.435
0.738 0.925 0.935
0.262 0.425 0.565
0.738 0.075 0.065
0.738 0.565 0.575
0.262 0.935 0.075
0.738 0.435 0.425
0.262 0.065 0.925
0.120 0.606 0.269
0.880 0.894 0.769
0.120 0.394 0.731
0.880 0.106 0.231
0.880 0.731 0.606
0.120 0.769 0.106
0.880 0.269 0.394
0.120 0.231 0.894

***

(3)
PBE Nb3Sb3O13, relaxed; total moment = 0.00 μB/f.u.; space-group type = No. 8
1.0
3.752 6.569 0.000
-3.752 6.569 0.000
0.000 4.323 6.223
Nb Sb O
3 3 13
direct
0.497 0.995 0.986
0.995 0.497 0.986
0.498 0.498 0.515
0.497 0.497 0.013
0.012 0.482 0.431
0.482 0.012 0.431
0.426 0.808 0.954
0.825 0.446 0.335
0.808 0.426 0.954
0.446 0.825 0.335
0.798 0.798 0.964
0.439 0.439 0.324
0.552 0.177 0.104
0.191 0.561 0.697
0.177 0.552 0.104
0.561 0.191 0.697
0.197 0.197 0.060
0.556 0.556 0.708
0.169 0.169 0.525

***

(4)
PBE NbSbO4, relaxed; piezoelectric modulus e_max = 8.09 C/m²; space-group type = No. 33
1.0
5.055 0.000 0.000
0.000 5.680 0.000
0.000 0.000 11.995
Nb Sb O
4 4 16
direct
0.509 0.613 0.501
0.491 0.387 0.001
0.991 0.113 0.501
0.009 0.887 0.001
0.442 0.978 0.749
0.558 0.022 0.249
0.058 0.478 0.749
0.942 0.522 0.249
0.230 0.882 0.457
0.770 0.118 0.957
0.270 0.382 0.457
0.730 0.618 0.957
0.335 0.660 0.660
0.665 0.340 0.160
0.165 0.160 0.660
0.835 0.840 0.160
0.164 0.819 0.849
0.836 0.181 0.349
0.336 0.319 0.849
0.664 0.681 0.349
0.214 0.574 0.059
0.786 0.426 0.559
0.286 0.074 0.059
0.714 0.926 0.559

***

(5)
PBE Nb2SbO6, relaxed; total moment = 1.00 μB/f.u.; space-group type = No. 15
1.0
-4.933 -6.768 3.153
-0.119 -8.214 3.549
0.209 2.122 5.209
Nb Sb O
4 2 12
direct
0.918 0.428 0.829
0.428 0.918 0.329
0.572 0.082 0.671
0.082 0.572 0.171
0.193 0.807 0.750
0.807 0.193 0.250
0.845 0.716 0.849
0.716 0.845 0.349
0.681 0.596 0.571
0.596 0.681 0.071
0.986 0.147 0.919
0.147 0.986 0.419
0.853 0.014 0.581
0.014 0.853 0.081
0.404 0.319 0.929
0.319 0.404 0.429
0.284 0.155 0.651
0.155 0.284 0.151

***

(6)
PBE NbSbO4, relaxed; space-group type = No. 52
1.0
5.078 0.000 0.000
0.000 5.692 0.000
0.000 0.000 11.994
Nb Sb O
4 4 16
direct
0.750 0.135 0.250
0.750 0.365 0.750
0.250 0.865 0.750
0.250 0.635 0.250
0.810 0.750 0.000
0.690 0.750 0.500
0.190 0.250 0.000
0.310 0.250 0.500
0.508 0.843 0.199
0.508 0.657 0.801
0.992 0.843 0.301
0.992 0.657 0.699
0.492 0.157 0.801
0.492 0.343 0.199
0.008 0.157 0.699
0.008 0.343 0.301
0.084 0.577 0.095
0.084 0.923 0.905
0.416 0.577 0.405
0.416 0.923 0.595
0.916 0.423 0.905
0.916 0.077 0.095
0.584 0.423 0.595
0.584 0.077 0.405

***

(7)
PBE TiNbSbO6, relaxed; total moment = 0.00 μB/f.u.; space-group type = No. 2
1.0
-2.573 -2.250 3.534
-2.389 -3.255 -3.900
7.563 -4.319 -0.658
Ti Nb Sb O
2 2 2 12
direct
0.933 0.680 0.348
0.067 0.320 0.652
0.587 0.816 0.651
0.413 0.184 0.349
0.305 0.744 0.001
0.695 0.256 0.999
0.655 0.584 0.138
0.520 0.915 0.865
0.345 0.416 0.862
0.480 0.085 0.135
0.660 0.844 0.437
0.220 0.655 0.560
0.340 0.156 0.563
0.780 0.345 0.440
0.094 0.924 0.279
0.822 0.566 0.722
0.906 0.076 0.721
0.178 0.434 0.278

***

(8)
PBE Sc11Nb3O24, relaxed; total moment = 0.01 μB/f.u.; space-group type = No. 1
1.0
-0.701 2.105 -5.723
-1.880 -5.814 -0.843
-21.661 7.355 6.646
Sc Nb O
22 6 48
direct
0.761 0.578 0.903
0.502 0.326 0.652
0.464 0.176 0.784
0.288 0.808 0.674
0.256 0.065 0.401
0.210 0.917 0.535
0.026 0.561 0.417
0.008 0.828 0.151
0.993 0.993 0.002
0.263 0.582 0.965
0.961 0.677 0.284
0.224 0.684 0.831
0.789 0.312 0.174
0.038 0.322 0.715
0.718 0.429 0.034
0.990 0.171 0.848
0.970 0.440 0.580
0.796 0.077 0.463
0.724 0.190 0.330
0.539 0.823 0.214
0.495 0.678 0.347
0.474 0.943 0.079
0.756 0.750 0.752
0.533 0.061 0.923
0.495 0.486 0.499
0.257 0.251 0.252
0.737 0.915 0.597
0.242 0.411 0.097
0.843 0.016 0.920
0.899 0.656 0.985
0.636 0.783 0.670
0.671 0.267 0.856
0.639 0.427 0.736
0.384 0.536 0.424
0.454 0.821 0.771
0.429 0.012 0.605
0.519 0.365 0.953
0.383 0.175 0.490
0.135 0.284 0.170
0.478 0.722 0.896
0.216 0.576 0.528
0.177 0.770 0.354
0.286 0.123 0.704
0.143 0.926 0.234
0.282 0.035 0.859
0.224 0.468 0.646
0.956 0.321 0.270
0.214 0.372 0.794
0.930 0.517 0.104
0.038 0.871 0.456
0.292 0.929 0.972
0.012 0.789 0.607
0.982 0.220 0.396
0.686 0.085 0.018
0.958 0.119 0.547
0.074 0.473 0.894
0.787 0.627 0.204
0.038 0.675 0.726
0.773 0.531 0.353
0.728 0.971 0.144
0.856 0.077 0.763
0.713 0.878 0.294
0.819 0.207 0.643
0.792 0.427 0.478
0.520 0.296 0.107
0.880 0.734 0.829
0.615 0.836 0.518
0.461 0.624 0.044
0.576 0.983 0.396
0.539 0.176 0.226
0.635 0.498 0.581
0.362 0.575 0.261
0.325 0.704 0.142
0.373 0.231 0.329
0.116 0.336 0.019
0.147 0.002 0.082

***

| no. | E (eV per atom) | formation energy (eV per atom) |
| --- | --- | --- |
| 1 | -7.72 | -2.771 |
| 2 | -6.81 | -2.264 |
| 3 | -7.64 | -2.475 |
| 4 | -7.74 | -2.523 |
| 5 | -8.18 | -2.631 |
| 6 | -7.74 | -2.523 |
| 7 | -8.13 | -2.832 |
| 8 | -9.03 | -3.713 |